1.
A plane-wave DFT calculation with GGA-PBE was carried out for an optimized crystal structure of SiC.

Computed properties:
Formation enthalpy at 0 K = -172 meV per atom
Crystal system = trigonal
Final energy = -7.50 eV/atom

Lattice parameters (Å, degrees): 3.0945 3.0945 43.0544 87.94 87.94 60.00
Last column: nearest neighbours and their distance in Å.
Positions (direct):
Si1 0.0000 0.0000 0.0000  4 C 1.89-1.90
Si2 0.9608 0.9608 0.1176  4 C 1.89-1.90
Si3 0.8824 0.8824 0.3528  4 C 1.89-1.90
Si4 0.8431 0.8431 0.4706  4 C 1.89-1.90
Si5 0.7647 0.7647 0.7058  4 C 1.89-1.90
Si6 0.7255 0.7255 0.8235  4 C 1.89-1.90
Si7 0.6471 0.6471 0.0587  4 C 1.90
Si8 0.5882 0.5882 0.2353  4 C 1.90
Si9 0.5294 0.5294 0.4117  4 C 1.90
Si10 0.4706 0.4706 0.5882  4 C 1.90
Si11 0.4118 0.4118 0.7646  4 C 1.90
Si12 0.3529 0.3529 0.9412  4 C 1.90
Si13 0.2745 0.2745 0.1764  4 C 1.90
Si14 0.2353 0.2353 0.2941  4 C 1.89-1.90
Si15 0.1569 0.1569 0.5293  4 C 1.89-1.90
Si16 0.1176 0.1176 0.6471  4 C 1.89-1.90
Si17 0.0392 0.0392 0.8823  4 C 1.90
C1 0.9853 0.9853 0.0440  4 Si 1.90
C2 0.9461 0.9461 0.1617  4 Si 1.90
C3 0.8677 0.8677 0.3969  4 Si 1.90
C4 0.8284 0.8284 0.5147  4 Si 1.89-1.90
C5 0.7500 0.7500 0.7500  4 Si 1.90
C6 0.7108 0.7108 0.8676  4 Si 1.90
C7 0.6323 0.6323 0.1030  4 Si 1.89-1.90
C8 0.5735 0.5735 0.2795  4 Si 1.89-1.90
C9 0.5147 0.5147 0.4560  4 Si 1.89-1.90
C10 0.4558 0.4558 0.6324  4 Si 1.89-1.90
C11 0.3970 0.3970 0.8089  4 Si 1.89-1.90
C12 0.3382 0.3382 0.9854  4 Si 1.89-1.90
C13 0.2598 0.2598 0.2205  4 Si 1.90
C14 0.2206 0.2206 0.3382  4 Si 1.89-1.90
C15 0.1422 0.1422 0.5734  4 Si 1.90
C16 0.1029 0.1029 0.6912  4 Si 1.89-1.90
C17 0.0245 0.0245 0.9265  4 Si 1.90

***

2.
A plane-wave DFT calculation with GGA-PBE was carried out for an optimized crystal structure of AuO2F6.

Computed properties:
Formation enthalpy at 0 K = -961 meV per atom
Crystal system = triclinic
Final energy = -3.36 eV/atom

Lattice parameters (Å, degrees): 5.0636 5.1438 5.2356 83.51 78.67 76.38
Last column: nearest neighbours and their distance in Å.
Positions (direct):
Au1 0.0000 0.0000 0.0000  6 F 1.95
O1 0.3928 0.4977 0.4742  1 O 1.17
O2 0.6072 0.5023 0.5258  1 O 1.17
F1 0.9383 0.7172 0.8159  1 Au 1.95
F2 0.2197 0.1112 0.6742  1 Au 1.95
F3 0.7803 0.8888 0.3258  1 Au 1.95
F4 0.6655 0.2392 0.9092  1 Au 1.95
F5 0.3345 0.7608 0.0908  1 Au 1.95
F6 0.0617 0.2828 0.1841  1 Au 1.95

***

3.
A plane-wave DFT calculation with GGA-PBE was carried out for an optimized crystal structure of BaAs2Pd2.

Computed properties:
Formation enthalpy at 0 K = -763 meV per atom
Crystal system = tetragonal
Final energy = -5.08 eV/atom
M_tot = 0.00 μB/atom

Lattice parameters (Å, degrees): 4.4208 4.4208 5.7944 90.00 90.00 90.00
Last column: nearest neighbours and their distance in Å.
Positions (direct):
Ba1 0.0000 0.0000 0.0000  8 As 3.49, 8 Pd 3.64
As1 0.5000 0.5000 0.7327  4 Pd 2.59, 1 As 2.70
As2 0.5000 0.5000 0.2673  4 Pd 2.59, 1 As 2.70
Pd1 0.5000 0.0000 0.5000  4 As 2.59
Pd2 0.0000 0.5000 0.5000  4 As 2.59

***

4.
A plane-wave DFT calculation with GGA-PBE was carried out for an optimized crystal structure of Cs2Li2GeO4.

Computed properties:
Formation enthalpy at 0 K = -2105 meV per atom
Crystal system = triclinic
Final energy = -5.14 eV/atom
M_tot = 0.00 μB/atom

Lattice parameters (Å, degrees): 5.7445 5.8975 9.6636 84.48 76.59 86.54
Last column: nearest neighbours and their distance in Å.
Positions (direct):
Cs1 0.2143 0.2663 0.9878  4 O 2.95-3.23
Cs2 0.7857 0.7337 0.0122  4 O 2.95-3.23
Cs3 0.4853 0.8551 0.7079  6 O 3.02-3.37, 4 Li 3.10-3.32
Cs4 0.5147 0.1449 0.2921  6 O 3.02-3.37, 4 Li 3.10-3.32
Li1 0.0668 0.8132 0.5597  3 O 1.93-2.02
Li2 0.9332 0.1868 0.4403  3 O 1.93-2.02
Li3 0.6941 0.5872 0.4204  4 O 2.00-2.07
Li4 0.3059 0.4128 0.5796  4 O 2.00-2.07
Ge1 0.8629 0.3173 0.7047  4 O 1.76-1.83
Ge2 0.1371 0.6827 0.2953  4 O 1.76-1.83
O1 0.0181 0.5697 0.7113  1 Ge 1.79, 1 Li 1.93
O2 0.9819 0.4303 0.2887  1 Ge 1.79, 1 Li 1.93
O3 0.9035 0.8623 0.3986  1 Ge 1.83, 3 Li 1.99-2.04
O4 0.0965 0.1377 0.6014  1 Ge 1.83, 3 Li 1.99-2.04
O5 0.7348 0.1991 0.8783  1 Ge 1.76
O6 0.2652 0.8009 0.1217  1 Ge 1.76
O7 0.3534 0.6398 0.4066  1 Ge 1.82, 2 Li 2.00-2.02
O8 0.6466 0.3602 0.5934  1 Ge 1.82, 2 Li 2.00-2.02

***

5.
A plane-wave DFT calculation with GGA-PBE was carried out for an optimized crystal structure of InCo20Sb60.

Computed properties:
Formation enthalpy at 0 K = -315 meV per atom
Crystal system = monoclinic
Final energy = -5.02 eV/atom
M_tot = 0.00 μB/atom

Lattice parameters (Å, degrees): 7.8969 7.8969 32.8281 80.78 80.78 70.51
Last column: nearest neighbours and their distance in Å.
Positions (direct):
In1 0.0000 0.0000 0.0000  12 Sb 3.39-3.40
Co1 0.7000 0.2003 0.0998  6 Sb 2.53-2.55
Co2 0.1001 0.6001 0.2999  6 Sb 2.53-2.54
Co3 0.5000 0.0000 0.5000  6 Sb 2.54
Co4 0.8999 0.3999 0.7001  6 Sb 2.53-2.54
Co5 0.3000 0.7997 0.9002  6 Sb 2.53-2.55
Co6 0.9002 0.4000 0.1997  6 Sb 2.52-2.55
Co7 0.3000 0.8000 0.3999  6 Sb 2.53-2.54
Co8 0.7000 0.2000 0.6001  6 Sb 2.53-2.54
Co9 0.0998 0.6000 0.8003  6 Sb 2.52-2.55
Co10 0.5000 0.0000 0.0000  6 Sb 2.54
Co11 0.0000 0.5000 0.0000  6 Sb 2.54
Co12 0.4000 0.9002 0.1997  6 Sb 2.52-2.55
Co13 0.8000 0.3000 0.3999  6 Sb 2.53-2.54
Co14 0.2000 0.7000 0.6001  6 Sb 2.53-2.54
Co15 0.6000 0.0998 0.8003  6 Sb 2.52-2.55
Co16 0.2003 0.7000 0.0998  6 Sb 2.53-2.55
Co17 0.6001 0.1001 0.2999  6 Sb 2.53-2.54
Co18 0.0000 0.5000 0.5000  6 Sb 2.54
Co19 0.3999 0.8999 0.7001  6 Sb 2.53-2.54
Co20 0.7997 0.3000 0.9002  6 Sb 2.53-2.55
Sb1 0.7593 0.4399 0.1336  2 Co 2.52-2.54
Sb2 0.1600 0.8401 0.3333  2 Co 2.53-2.54
Sb3 0.5600 0.2402 0.5333  2 Co 2.54
Sb4 0.9601 0.6402 0.7332  2 Co 2.54-2.55
Sb5 0.3627 0.0400 0.9328  2 Co 2.54
Sb6 0.6373 0.9600 0.0672  2 Co 2.54
Sb7 0.0399 0.3598 0.2668  2 Co 2.54-2.55
Sb8 0.4400 0.7598 0.4667  2 Co 2.54
Sb9 0.8400 0.1599 0.6667  2 Co 2.53-2.54
Sb10 0.2407 0.5601 0.8664  2 Co 2.52-2.54
Sb11 0.4399 0.7593 0.1336  2 Co 2.52-2.54
Sb12 0.8401 0.1600 0.3333  2 Co 2.53-2.54
Sb13 0.2402 0.5600 0.5333  2 Co 2.54
Sb14 0.6402 0.9601 0.7332  2 Co 2.54-2.55
Sb15 0.0400 0.3627 0.9328  2 Co 2.54
Sb16 0.9600 0.6373 0.0672  2 Co 2.54
Sb17 0.3598 0.0399 0.2668  2 Co 2.54-2.55
Sb18 0.7598 0.4400 0.4667  2 Co 2.54
Sb19 0.1599 0.8400 0.6667  2 Co 2.53-2.54
Sb20 0.5601 0.2407 0.8664  2 Co 2.52-2.54
Sb21 0.7295 0.3993 0.0323  2 Co 2.53-2.54
Sb22 0.1305 0.7974 0.2321  2 Co 2.53-2.54
Sb23 0.5306 0.1975 0.4320  2 Co 2.54
Sb24 0.9305 0.5975 0.6320  2 Co 2.54
Sb25 0.3305 0.9976 0.8318  2 Co 2.54-2.55
Sb26 0.6695 0.0024 0.1682  2 Co 2.54-2.55
Sb27 0.0695 0.4025 0.3680  2 Co 2.54
Sb28 0.4694 0.8025 0.5680  2 Co 2.54
Sb29 0.8695 0.2026 0.7679  2 Co 2.53-2.54
Sb30 0.2705 0.6007 0.9677  2 Co 2.53-2.54
Sb31 0.0024 0.6695 0.1682  2 Co 2.54-2.55
Sb32 0.4025 0.0695 0.3680  2 Co 2.54
Sb33 0.8025 0.4694 0.5680  2 Co 2.54
Sb34 0.2026 0.8695 0.7679  2 Co 2.53-2.54
Sb35 0.6007 0.2705 0.9677  2 Co 2.53-2.54
Sb36 0.3993 0.7295 0.0323  2 Co 2.53-2.54
Sb37 0.7974 0.1305 0.2321  2 Co 2.53-2.54
Sb38 0.1975 0.5306 0.4320  2 Co 2.54
Sb39 0.5975 0.9305 0.6320  2 Co 2.54
Sb40 0.9976 0.3305 0.8318  2 Co 2.54-2.55
Sb41 0.1712 0.1712 0.1656  2 Co 2.53
Sb42 0.5707 0.5707 0.3653  2 Co 2.54
Sb43 0.9707 0.9707 0.5653  2 Co 2.54
Sb44 0.3707 0.3707 0.7652  2 Co 2.55
Sb45 0.7691 0.7691 0.9650  2 Co 2.54
Sb46 0.2309 0.2309 0.0350  2 Co 2.54
Sb47 0.6293 0.6293 0.2348  2 Co 2.55
Sb48 0.0293 0.0293 0.4347  2 Co 2.54
Sb49 0.4293 0.4293 0.6347  2 Co 2.54
Sb50 0.8288 0.8288 0.8344  2 Co 2.53
Sb51 0.3626 0.3626 0.1016  2 Co 2.54
Sb52 0.7624 0.7624 0.3014  2 Co 2.54
Sb53 0.1625 0.1625 0.5013  2 Co 2.54
Sb54 0.5626 0.5626 0.7013  2 Co 2.54
Sb55 0.9627 0.9627 0.9006  2 Co 2.54
Sb56 0.0373 0.0373 0.0994  2 Co 2.54
Sb57 0.4374 0.4374 0.2987  2 Co 2.54
Sb58 0.8375 0.8375 0.4987  2 Co 2.54
Sb59 0.2376 0.2376 0.6986  2 Co 2.54
Sb60 0.6374 0.6374 0.8984  2 Co 2.54

***

6.
A plane-wave DFT calculation with GGA-PBE was carried out for an optimized crystal structure of Rb2SmCl5.

Computed properties:
Formation enthalpy at 0 K = -2551 meV per atom
Crystal system = orthorhombic
Final energy = -4.16 eV/atom

Lattice parameters (Å, degrees): 8.3551 8.8292 13.6642 90.00 90.00 90.00
Last column: nearest neighbours and their distance in Å.
Positions (direct):
Rb1 0.5347 0.4996 0.8261  8 Cl 3.30-3.56
Rb2 0.4653 0.5004 0.1739  8 Cl 3.30-3.56
Rb3 0.0347 0.5004 0.6739  8 Cl 3.30-3.56
Rb4 0.4653 0.9996 0.1739  8 Cl 3.30-3.56
Rb5 0.9653 0.4996 0.3261  8 Cl 3.30-3.56
Rb6 0.5347 0.0004 0.8261  8 Cl 3.30-3.56
Rb7 0.9653 0.0004 0.3261  8 Cl 3.30-3.56
Rb8 0.0347 0.9996 0.6739  8 Cl 3.30-3.56
Sm1 0.5708 0.7500 0.5019  7 Cl 2.75-2.84
Sm2 0.4292 0.2500 0.4981  7 Cl 2.75-2.84
Sm3 0.0708 0.2500 0.9981  7 Cl 2.75-2.84
Sm4 0.9292 0.7500 0.0019  7 Cl 2.75-2.84
Cl1 0.8355 0.7500 0.8085  1 Sm 2.76
Cl2 0.1645 0.2500 0.1915  1 Sm 2.76
Cl3 0.3355 0.2500 0.6915  1 Sm 2.76
Cl4 0.6645 0.7500 0.3085  1 Sm 2.76
Cl5 0.3684 0.7500 0.6610  1 Sm 2.75
Cl6 0.6316 0.2500 0.3390  1 Sm 2.75
Cl7 0.8684 0.2500 0.8390  1 Sm 2.75
Cl8 0.1316 0.7500 0.1610  1 Sm 2.75
Cl9 0.9017 0.7500 0.5137  1 Sm 2.77
Cl10 0.0983 0.2500 0.4863  1 Sm 2.77
Cl11 0.4017 0.2500 0.9863  1 Sm 2.77
Cl12 0.5983 0.7500 0.0137  1 Sm 2.77
Cl13 0.6510 0.0393 0.5782  2 Sm 2.84
Cl14 0.3490 0.9607 0.4218  2 Sm 2.84
Cl15 0.1510 0.9607 0.9218  2 Sm 2.84
Cl16 0.3490 0.5393 0.4218  2 Sm 2.84
Cl17 0.8490 0.0393 0.0782  2 Sm 2.84
Cl18 0.6510 0.4607 0.5782  2 Sm 2.84
Cl19 0.8490 0.4607 0.0782  2 Sm 2.84
Cl20 0.1510 0.5393 0.9218  2 Sm 2.84